{
  "formula": "Li4Cr3Fe2Co3O16",
  "functional": "PBE with a Hubbard U",
  "state": "optimized geometry",
  "e_form_ev_per_atom": -1.81,
  "magmom_total_mub_per_cell": 17.00,
  "e_above_lowest_polymorph_ev_per_atom": 0.000,
  "cell": [[5.707, -0.013, 0.014], [-2.865, 4.963, 0.001], [0.021, 0.013, 9.416]],
  "species": ["Li", "Li", "Li", "Li", "Cr", "Cr", "Cr", "Fe", "Fe", "Co", "Co", "Co", "O", "O", "O", "O", "O", "O", "O", "O", "O", "O", "O", "O", "O", "O", "O", "O"],
  "fractional_positions": [[0.339, 0.669, 0.891], [0.988, 0.994, 0.995], [0.990, 0.995, 0.498], [0.667, 0.334, 0.396], [0.173, 0.827, 0.215], [0.172, 0.346, 0.215], [0.348, 0.173, 0.715], [0.338, 0.669, 0.499], [0.676, 0.338, 0.992], [0.658, 0.829, 0.213], [0.829, 0.660, 0.713], [0.828, 0.169, 0.713], [0.165, 0.839, 0.602], [0.033, 0.516, 0.334], [0.337, 0.669, 0.101], [0.997, 0.998, 0.307], [0.997, 0.999, 0.806], [0.165, 0.326, 0.603], [0.480, 0.960, 0.338], [0.480, 0.521, 0.338], [0.325, 0.162, 0.102], [0.669, 0.835, 0.606], [0.522, 0.482, 0.836], [0.521, 0.039, 0.837], [0.673, 0.337, 0.605], [0.835, 0.670, 0.103], [0.959, 0.480, 0.833], [0.835, 0.165, 0.103]]
}

---

{
  "formula": "Li4Cr3Fe2Co3O16",
  "functional": "PBE with a Hubbard U",
  "state": "optimized geometry",
  "e_form_ev_per_atom": -1.80,
  "magmom_total_mub_per_cell": 23.00,
  "e_above_lowest_polymorph_ev_per_atom": 0.009,
  "cell": [[-0.657, 5.655, 1.140], [-2.595, -3.891, 3.445], [7.789, -0.340, 5.433]],
  "species": ["Li", "Li", "Li", "Li", "Cr", "Cr", "Cr", "Fe", "Fe", "Co", "Co", "Co", "O", "O", "O", "O", "O", "O", "O", "O", "O", "O", "O", "O", "O", "O", "O", "O"],
  "fractional_positions": [[0.672, 0.328, 0.108], [0.993, 0.005, 0.004], [0.993, 0.005, 0.502], [0.338, 0.668, 0.606], [0.339, 0.170, 0.786], [0.831, 0.665, 0.788], [0.170, 0.827, 0.286], [0.663, 0.334, 0.509], [0.332, 0.663, 0.010], [0.830, 0.172, 0.784], [0.168, 0.336, 0.285], [0.663, 0.829, 0.287], [0.320, 0.155, 0.401], [0.527, 0.489, 0.665], [0.679, 0.331, 0.893], [0.990, 0.005, 0.690], [0.989, 0.983, 0.191], [0.832, 0.677, 0.398], [0.533, 0.040, 0.663], [0.964, 0.480, 0.666], [0.154, 0.831, 0.898], [0.827, 0.155, 0.390], [0.039, 0.525, 0.163], [0.488, 0.960, 0.165], [0.345, 0.680, 0.393], [0.154, 0.324, 0.901], [0.492, 0.525, 0.167], [0.673, 0.835, 0.894]]
}

---

{
  "formula": "CrFeCoO4",
  "functional": "PBE with a Hubbard U",
  "state": "optimized geometry",
  "e_form_ev_per_atom": -1.79,
  "magmom_total_mub_per_cell": 22.00,
  "cell": [[-0.564, -5.545, -2.294], [-5.211, -0.622, 2.962], [0.801, 4.669, -3.725]],
  "species": ["Cr", "Cr", "Fe", "Fe", "Co", "Co", "O", "O", "O", "O", "O", "O", "O", "O"],
  "fractional_positions": [[0.500, 0.500, 0.000], [0.000, 0.500, 0.500], [0.377, 0.127, 0.250], [0.623, 0.873, 0.750], [0.000, 0.500, 0.000], [0.000, 0.000, 0.500], [0.754, 0.735, 0.481], [0.754, 0.274, 0.019], [0.236, 0.741, 0.494], [0.747, 0.741, 0.006], [0.246, 0.265, 0.519], [0.246, 0.726, 0.981], [0.764, 0.259, 0.506], [0.253, 0.259, 0.994]]
}

---

{
  "formula": "K2Cr4CoH4O16",
  "functional": "PBE with a Hubbard U",
  "state": "optimized geometry",
  "e_form_ev_per_atom": -1.65,
  "magmom_total_mub_per_cell": 3.00,
  "cell": [[-4.471, -1.350, -5.167], [1.255, -6.595, -4.030], [-5.628, -3.712, 4.282]],
  "species": ["K", "K", "Cr", "Cr", "Cr", "Cr", "Co", "H", "H", "H", "H", "O", "O", "O", "O", "O", "O", "O", "O", "O", "O", "O", "O", "O", "O", "O", "O"],
  "fractional_positions": [[0.293, 0.262, 0.827], [0.707, 0.738, 0.173], [0.261, 0.795, 0.836], [0.739, 0.205, 0.165], [0.271, 0.498, 0.332], [0.729, 0.502, 0.668], [0.000, 0.000, 0.500], [0.194, 0.081, 0.225], [0.806, 0.919, 0.775], [0.742, 0.848, 0.617], [0.258, 0.152, 0.383], [0.851, 0.280, 0.585], [0.722, 0.655, 0.525], [0.454, 0.557, 0.757], [0.044, 0.784, 0.927], [0.206, 0.939, 0.678], [0.756, 0.958, 0.666], [0.244, 0.042, 0.334], [0.278, 0.345, 0.475], [0.794, 0.060, 0.322], [0.149, 0.720, 0.415], [0.152, 0.469, 0.182], [0.545, 0.443, 0.243], [0.956, 0.216, 0.073], [0.632, 0.128, 0.032], [0.368, 0.872, 0.968], [0.848, 0.531, 0.818]]
}

---

{
  "formula": "La2MgCr2Co2O12",
  "functional": "PBE with a Hubbard U",
  "state": "optimized geometry",
  "e_form_ev_per_atom": -2.26,
  "magmom_total_mub_per_cell": 6.00,
  "cell": [[5.378, -0.215, 0.009], [-0.279, 6.403, -0.025], [-0.017, -0.044, 7.139]],
  "species": ["La", "La", "Mg", "Cr", "Cr", "Co", "Co", "O", "O", "O", "O", "O", "O", "O", "O", "O", "O", "O", "O"],
  "fractional_positions": [[0.984, 0.884, 0.749], [0.512, 0.655, 0.248], [0.016, 0.070, 0.270], [0.503, 0.103, 0.493], [0.033, 0.434, 0.981], [0.542, 0.105, 0.003], [0.082, 0.443, 0.514], [0.110, 0.397, 0.260], [0.176, 0.210, 0.943], [0.168, 0.152, 0.544], [0.206, 0.674, 0.995], [0.227, 0.704, 0.508], [0.380, 0.022, 0.245], [0.546, 0.037, 0.750], [0.647, 0.334, 0.458], [0.703, 0.381, 0.051], [0.741, 0.914, 0.451], [0.790, 0.923, 0.064], [0.931, 0.487, 0.743]]
}

---

{
  "formula": "LaMgCrCoO6",
  "functional": "PBE with a Hubbard U",
  "state": "optimized geometry",
  "e_form_ev_per_atom": -2.43,
  "magmom_total_mub_per_cell": 8.00,
  "cell": [[-4.853, -0.066, -2.311], [2.279, -0.477, -4.773], [2.040, -8.226, -4.049]],
  "species": ["La", "La", "Mg", "Mg", "Cr", "Cr", "Co", "Co", "O", "O", "O", "O", "O", "O", "O", "O", "O", "O", "O", "O"],
  "fractional_positions": [[0.283, 0.752, 0.247], [0.717, 0.752, 0.747], [0.805, 0.236, 0.245], [0.195, 0.236, 0.745], [0.244, 0.990, 0.498], [0.756, 0.990, 0.998], [0.255, 0.489, 0.001], [0.745, 0.489, 0.501], [0.806, 0.319, 0.755], [0.010, 0.167, 0.057], [0.025, 0.771, 0.454], [0.549, 0.261, 0.056], [0.550, 0.889, 0.441], [0.272, 0.627, 0.746], [0.194, 0.319, 0.255], [0.990, 0.167, 0.557], [0.975, 0.771, 0.954], [0.451, 0.261, 0.556], [0.450, 0.889, 0.941], [0.728, 0.627, 0.246]]
}

---

{
  "formula": "Li10Mn3Cr3Co2O16",
  "functional": "PBE with a Hubbard U",
  "state": "optimized geometry",
  "e_form_ev_per_atom": -2.06,
  "magmom_total_mub_per_cell": 27.00,
  "cell": [[5.936, 0.000, 0.000], [-2.913, 5.268, 0.000], [-0.131, -0.291, 9.867]],
  "species": ["Li", "Li", "Li", "Li", "Li", "Li", "Li", "Li", "Li", "Li", "Mn", "Mn", "Mn", "Cr", "Cr", "Cr", "Co", "Co", "O", "O", "O", "O", "O", "O", "O", "O", "O", "O", "O", "O", "O", "O", "O", "O"],
  "fractional_positions": [[0.017, 0.993, 0.483], [0.203, 0.398, 0.063], [0.689, 0.342, 0.782], [0.817, 0.187, 0.564], [0.402, 0.185, 0.566], [0.356, 0.676, 0.283], [0.017, 0.014, 0.983], [0.211, 0.809, 0.056], [0.800, 0.598, 0.554], [0.617, 0.790, 0.058], [0.848, 0.172, 0.286], [0.679, 0.833, 0.784], [0.847, 0.662, 0.285], [0.185, 0.340, 0.786], [0.352, 0.168, 0.285], [0.184, 0.834, 0.785], [0.342, 0.655, 0.529], [0.679, 0.330, 0.028], [0.341, 0.165, 0.904], [0.166, 0.315, 0.402], [0.030, 0.510, 0.666], [0.529, 0.017, 0.169], [0.853, 0.168, 0.895], [0.330, 0.660, 0.907], [0.506, 0.506, 0.673], [0.180, 0.839, 0.394], [0.521, 0.490, 0.172], [0.673, 0.302, 0.408], [0.506, 0.974, 0.671], [0.998, 0.515, 0.161], [0.854, 0.693, 0.898], [0.686, 0.799, 0.411], [0.041, 0.016, 0.669], [0.022, 0.031, 0.170]]
}

---

{
  "formula": "Li4Mn2Cr3Co3O16",
  "functional": "PBE with a Hubbard U",
  "state": "optimized geometry",
  "e_form_ev_per_atom": -1.89,
  "magmom_total_mub_per_cell": 15.00,
  "e_above_lowest_polymorph_ev_per_atom": 0.010,
  "cell": [[-5.830, 0.000, 0.000], [2.877, 5.083, 0.000], [-0.052, -0.115, -9.422]],
  "species": ["Li", "Li", "Li", "Li", "Mn", "Mn", "Cr", "Cr", "Cr", "Co", "Co", "Co", "O", "O", "O", "O", "O", "O", "O", "O", "O", "O", "O", "O", "O", "O", "O", "O"],
  "fractional_positions": [[0.667, 0.325, 0.895], [0.997, 0.008, 0.994], [0.994, 0.004, 0.495], [0.335, 0.665, 0.400], [0.670, 0.341, 0.483], [0.332, 0.665, 0.984], [0.832, 0.659, 0.212], [0.341, 0.168, 0.212], [0.171, 0.829, 0.714], [0.832, 0.168, 0.212], [0.665, 0.833, 0.712], [0.173, 0.339, 0.712], [0.830, 0.671, 0.597], [0.521, 0.480, 0.344], [0.671, 0.329, 0.106], [0.998, 0.003, 0.307], [0.004, 0.013, 0.806], [0.326, 0.171, 0.600], [0.959, 0.477, 0.347], [0.524, 0.041, 0.348], [0.164, 0.834, 0.092], [0.840, 0.177, 0.606], [0.481, 0.954, 0.845], [0.042, 0.512, 0.839], [0.331, 0.654, 0.608], [0.664, 0.835, 0.097], [0.470, 0.508, 0.841], [0.165, 0.337, 0.099]]
}